Record 1
DFT (r2SCAN) results for crystalline MoO3 at its relaxed geometry.

Unit cell a=7.145 b=5.405 c=5.602 alpha=90.00 beta=90.44 gamma=90.00
Fractional coordinates of all 16 atoms:
Mo (0.501, 0.495, 0.702)
Mo (0.501, 0.005, 0.202)
Mo (0.001, 0.998, 0.036)
Mo (0.001, 0.502, 0.536)
O (0.462, 0.232, 0.869)
O (0.462, 0.268, 0.369)
O (0.044, 0.234, 0.837)
O (0.044, 0.266, 0.337)
O (0.753, 0.074, 0.113)
O (0.753, 0.426, 0.613)
O (0.545, 0.784, 0.417)
O (0.545, 0.716, 0.917)
O (0.253, 0.924, 0.124)
O (0.253, 0.576, 0.624)
O (0.962, 0.748, 0.852)
O (0.962, 0.752, 0.352)

Output
**ΔH_f (0 K)**: -8.4 eV per formula unit
**SG**: Pc, No. 7



Record 2
DFT (r2SCAN) results for crystalline Sc3NiC4 at its relaxed geometry.

Unit cell a=3.457 b=4.355 c=6.553 alpha=109.41 beta=105.29 gamma=90.00
Fractional coordinates of all 8 atoms:
Sc (0.687, 0.187, 0.375)
Sc (0.313, 0.813, 0.625)
Sc (0.500, 0.500, 0.000)
Ni (0.000, 0.000, 0.000)
C (0.124, 0.457, 0.248)
C (0.876, 0.543, 0.752)
C (0.124, 0.791, 0.248)
C (0.876, 0.209, 0.752)

Output
**ΔH_f (0 K)**: -4.2 eV per formula unit
**SG**: Immm, No. 71



Record 3
DFT (r2SCAN) results for crystalline Mn5Si3 at its relaxed geometry.

Unit cell a=6.957 b=6.961 c=4.821 alpha=90.00 beta=90.00 gamma=119.98
Fractional coordinates of all 16 atoms:
Mn (0.000, 0.757, 0.750)
Mn (0.000, 0.243, 0.250)
Mn (0.757, 0.757, 0.250)
Mn (0.758, 0.000, 0.750)
Mn (0.243, 0.243, 0.750)
Mn (0.242, 0.000, 0.250)
Mn (0.333, 0.667, 0.500)
Mn (0.667, 0.333, 0.000)
Mn (0.667, 0.333, 0.500)
Mn (0.333, 0.667, 0.000)
Si (0.400, 0.000, 0.750)
Si (0.400, 0.400, 0.250)
Si (0.000, 0.600, 0.250)
Si (0.000, 0.400, 0.750)
Si (0.600, 0.600, 0.750)
Si (0.600, 0.000, 0.250)

Output
**ΔH_f (0 K)**: -3.7 eV per formula unit
**SG**: P6_3/mcm, No. 193



Record 4
DFT (r2SCAN) results for crystalline LiAgF4 at its relaxed geometry.

Unit cell a=4.590 b=4.590 c=3.473 alpha=84.16 beta=84.16 gamma=87.03
Fractional coordinates of all 6 atoms:
Li (0.000, 0.000, 0.000)
Ag (0.500, 0.500, 0.500)
F (0.710, 0.710, 0.056)
F (0.195, 0.805, 0.500)
F (0.805, 0.195, 0.500)
F (0.290, 0.290, 0.944)

Output
**Offset from the most stable computed form**: 10 meV/atom
**ΔH_f (0 K)**: -11.2 eV per formula unit
**SG**: C2/m, No. 12



Record 5
DFT (r2SCAN) results for crystalline Tb3Sc at its relaxed geometry.

Unit cell a=6.011 b=6.011 c=6.011 alpha=131.08 beta=131.08 gamma=71.69
Fractional coordinates of all 4 atoms:
Tb (0.750, 0.250, 0.500)
Tb (0.250, 0.750, 0.500)
Tb (0.500, 0.500, 0.000)
Sc (0.000, 0.000, 0.000)

Output
**Offset from the most stable computed form**: 3 meV/atom
**ΔH_f (0 K)**: 0.3 eV per formula unit
**SG**: I4/mmm, No. 139



Record 6
DFT (r2SCAN) results for crystalline RbTb2Cl7 at its relaxed geometry.

Unit cell a=6.974 b=12.670 c=13.106 alpha=90.00 beta=90.00 gamma=90.00
Fractional coordinates of all 40 atoms:
Rb (0.250, 0.804, 0.040)
Rb (0.750, 0.196, 0.960)
Rb (0.750, 0.304, 0.460)
Rb (0.250, 0.696, 0.540)
Tb (0.250, 0.460, 0.237)
Tb (0.750, 0.540, 0.763)
Tb (0.750, 0.960, 0.263)
Tb (0.250, 0.040, 0.737)
Tb (0.250, 0.157, 0.248)
Tb (0.750, 0.843, 0.752)
Tb (0.750, 0.657, 0.252)
Tb (0.250, 0.343, 0.748)
Cl (0.007, 0.307, 0.174)
Cl (0.993, 0.693, 0.826)
Cl (0.993, 0.807, 0.326)
Cl (0.507, 0.693, 0.826)
Cl (0.007, 0.193, 0.674)
Cl (0.493, 0.307, 0.174)
Cl (0.493, 0.193, 0.674)
Cl (0.507, 0.807, 0.326)
Cl (0.010, 0.579, 0.121)
Cl (0.990, 0.421, 0.879)
Cl (0.990, 0.079, 0.379)
Cl (0.510, 0.421, 0.879)
Cl (0.010, 0.921, 0.621)
Cl (0.490, 0.579, 0.121)
Cl (0.490, 0.921, 0.621)
Cl (0.510, 0.079, 0.379)
Cl (0.010, 0.039, 0.129)
Cl (0.990, 0.961, 0.871)
Cl (0.990, 0.539, 0.371)
Cl (0.510, 0.961, 0.871)
Cl (0.010, 0.461, 0.629)
Cl (0.490, 0.039, 0.129)
Cl (0.490, 0.461, 0.629)
Cl (0.510, 0.539, 0.371)
Cl (0.250, 0.311, 0.394)
Cl (0.750, 0.689, 0.606)
Cl (0.750, 0.811, 0.106)
Cl (0.250, 0.189, 0.894)

Output
**ΔH_f (0 K)**: -25.2 eV per formula unit
**SG**: Pnma, No. 62



Record 7
DFT (r2SCAN) results for crystalline HoB2 at its relaxed geometry.

Unit cell a=3.283 b=3.283 c=3.825 alpha=90.00 beta=90.00 gamma=120.00
Fractional coordinates of all 3 atoms:
Ho (0.000, 0.000, 0.000)
B (0.333, 0.667, 0.500)
B (0.667, 0.333, 0.500)

Output
**ΔH_f (0 K)**: -2.0 eV per formula unit
**SG**: P6/mmm, No. 191



Record 8
DFT (r2SCAN) results for crystalline CdHg3 at its relaxed geometry.

Unit cell a=6.176 b=6.176 c=6.176 alpha=139.07 beta=139.07 gamma=59.27
Fractional coordinates of all 4 atoms:
Cd (0.000, 0.000, 0.000)
Hg (0.750, 0.250, 0.500)
Hg (0.250, 0.750, 0.500)
Hg (0.500, 0.500, 0.000)

Output
**Offset from the most stable computed form**: 1 meV/atom
**ΔH_f (0 K)**: 0.2 eV per formula unit
**SG**: I4/mmm, No. 139



Record 9
DFT (r2SCAN) results for crystalline YbBi2 at its relaxed geometry.

Unit cell a=8.869 b=8.869 c=4.592 alpha=90.00 beta=90.00 gamma=151.19
Fractional coordinates of all 6 atoms:
Yb (0.603, 0.397, 0.250)
Yb (0.397, 0.603, 0.750)
Bi (0.928, 0.072, 0.250)
Bi (0.072, 0.928, 0.750)
Bi (0.250, 0.750, 0.250)
Bi (0.750, 0.250, 0.750)

Output
**ΔH_f (0 K)**: -1.4 eV per formula unit
**SG**: Cmcm, No. 63



Record 10
DFT (r2SCAN) results for crystalline NaCuF3 at its relaxed geometry.

Unit cell a=5.338 b=5.526 c=7.845 alpha=89.35 beta=87.58 gamma=86.71
Fractional coordinates of all 20 atoms:
Na (0.487, 0.439, 0.240)
Na (0.513, 0.561, 0.760)
Na (0.027, 0.936, 0.260)
Na (0.973, 0.064, 0.740)
Cu (0.500, 0.000, 0.000)
Cu (0.000, 0.500, 0.000)
Cu (0.500, 0.000, 0.500)
Cu (0.000, 0.500, 0.500)
F (0.113, 0.452, 0.772)
F (0.887, 0.548, 0.228)
F (0.386, 0.957, 0.729)
F (0.614, 0.043, 0.271)
F (0.193, 0.196, 0.450)
F (0.807, 0.804, 0.550)
F (0.718, 0.323, 0.563)
F (0.282, 0.677, 0.437)
F (0.323, 0.722, 0.055)
F (0.677, 0.278, 0.945)
F (0.797, 0.795, 0.931)
F (0.203, 0.205, 0.069)

Output
**ΔH_f (0 K)**: -11.6 eV per formula unit
**SG**: P-1, No. 2



Record 11
DFT (r2SCAN) results for crystalline ErRh2Pb at its relaxed geometry.

Unit cell a=4.711 b=4.710 c=4.711 alpha=59.99 beta=60.00 gamma=60.00
Fractional coordinates of all 4 atoms:
Er (0.250, 0.250, 0.250)
Rh (0.000, 0.000, 0.000)
Rh (0.500, 0.500, 0.500)
Pb (0.750, 0.750, 0.750)

Output
**ΔH_f (0 K)**: -2.6 eV per formula unit
**SG**: Fm-3m, No. 225



Record 12
DFT (r2SCAN) results for crystalline VCrO3 at its relaxed geometry.

Unit cell a=5.049 b=5.388 c=7.359 alpha=96.05 beta=90.21 gamma=89.87
Fractional coordinates of all 20 atoms:
V (0.504, 0.800, 0.850)
V (0.000, 0.304, 0.854)
V (0.003, 0.693, 0.147)
V (0.001, 0.298, 0.352)
Cr (0.001, 0.701, 0.648)
Cr (0.501, 0.800, 0.349)
Cr (0.500, 0.201, 0.650)
Cr (0.499, 0.197, 0.152)
O (0.697, 0.504, 0.746)
O (0.149, 0.659, 0.901)
O (0.348, 0.851, 0.598)
O (0.807, 0.004, 0.748)
O (0.848, 0.653, 0.400)
O (0.348, 0.158, 0.903)
O (0.154, 0.350, 0.600)
O (0.648, 0.844, 0.098)
O (0.649, 0.149, 0.403)
O (0.841, 0.343, 0.099)
O (0.308, 0.496, 0.251)
O (0.196, 0.996, 0.249)

Output
**ΔH_f (0 K)**: -12.5 eV per formula unit
**SG**: P1, No. 1



Record 13
DFT (r2SCAN) results for crystalline Hf3Tl at its relaxed geometry.

Unit cell a=5.613 b=5.613 c=5.613 alpha=134.92 beta=134.92 gamma=65.66
Fractional coordinates of all 4 atoms:
Hf (0.750, 0.250, 0.500)
Hf (0.250, 0.750, 0.500)
Hf (0.500, 0.500, 0.000)
Tl (0.000, 0.000, 0.000)

Output
**ΔH_f (0 K)**: -0.1 eV per formula unit
**SG**: I4/mmm, No. 139



Record 14
DFT (r2SCAN) results for crystalline Cs at its relaxed geometry.

Unit cell a=5.566 b=5.566 c=9.258 alpha=90.00 beta=90.00 gamma=120.00
Fractional coordinates of all 2 atoms:
Cs (0.333, 0.667, 0.250)
Cs (0.667, 0.333, 0.750)

Output
**Offset from the most stable computed form**: 20 meV/atom
**ΔH_f (0 K)**: 0.0 eV per formula unit
**SG**: P6_3/mmc, No. 194



Record 15
DFT (r2SCAN) results for crystalline La2Bi4O9 at its relaxed geometry.

Unit cell a=4.027 b=6.908 c=9.337 alpha=97.89 beta=102.46 gamma=90.02
Fractional coordinates of all 15 atoms:
La (0.490, 0.493, 0.013)
La (0.976, 0.993, 0.986)
Bi (0.816, 0.584, 0.668)
Bi (0.648, 0.902, 0.331)
Bi (0.340, 0.113, 0.653)
Bi (0.186, 0.372, 0.346)
O (0.591, 0.562, 0.298)
O (0.536, 0.857, 0.096)
O (0.940, 0.629, 0.903)
O (0.792, 0.924, 0.701)
O (0.669, 0.243, 0.500)
O (0.133, 0.037, 0.287)
O (0.429, 0.152, 0.891)
O (0.038, 0.334, 0.108)
O (0.346, 0.449, 0.712)

Output
**ΔH_f (0 K)**: -31.9 eV per formula unit
**SG**: C2, No. 5



Record 16
DFT (r2SCAN) results for crystalline TbB3O6 at its relaxed geometry.

Unit cell a=6.459 b=6.459 c=6.459 alpha=123.94 beta=105.97 gamma=99.59
Fractional coordinates of all 20 atoms:
Tb (0.750, 0.000, 0.750)
Tb (0.250, 0.000, 0.250)
B (0.250, 0.500, 0.750)
B (0.750, 0.500, 0.250)
B (0.186, 0.805, 0.620)
B (0.686, 0.566, 0.880)
B (0.814, 0.195, 0.380)
B (0.314, 0.434, 0.120)
O (0.052, 0.247, 0.499)
O (0.341, 0.906, 0.566)
O (0.841, 0.775, 0.934)
O (0.659, 0.094, 0.434)
O (0.448, 0.447, 0.696)
O (0.252, 0.753, 0.804)
O (0.552, 0.553, 0.304)
O (0.748, 0.247, 0.196)
O (0.948, 0.753, 0.501)
O (0.752, 0.447, 0.999)
O (0.159, 0.225, 0.066)
O (0.248, 0.553, 0.001)

Output
**ΔH_f (0 K)**: -29.9 eV per formula unit
**SG**: Ibam, No. 72



Record 17
DFT (r2SCAN) results for crystalline KTm2Cl7 at its relaxed geometry.

Unit cell a=6.816 b=12.407 c=12.825 alpha=90.00 beta=90.35 gamma=90.00
Fractional coordinates of all 40 atoms:
K (0.223, 0.797, 0.036)
K (0.777, 0.203, 0.964)
K (0.777, 0.297, 0.464)
K (0.223, 0.703, 0.536)
Tm (0.229, 0.463, 0.239)
Tm (0.771, 0.537, 0.761)
Tm (0.771, 0.963, 0.261)
Tm (0.229, 0.037, 0.739)
Tm (0.273, 0.160, 0.249)
Tm (0.727, 0.840, 0.751)
Tm (0.727, 0.660, 0.251)
Tm (0.273, 0.340, 0.749)
Cl (0.050, 0.029, 0.131)
Cl (0.950, 0.971, 0.869)
Cl (0.950, 0.529, 0.369)
Cl (0.050, 0.471, 0.631)
Cl (0.253, 0.314, 0.396)
Cl (0.747, 0.686, 0.604)
Cl (0.747, 0.814, 0.104)
Cl (0.253, 0.186, 0.896)
Cl (0.491, 0.321, 0.175)
Cl (0.509, 0.679, 0.825)
Cl (0.509, 0.821, 0.325)
Cl (0.491, 0.179, 0.675)
Cl (0.020, 0.074, 0.380)
Cl (0.980, 0.926, 0.620)
Cl (0.980, 0.574, 0.120)
Cl (0.020, 0.426, 0.880)
Cl (0.531, 0.056, 0.127)
Cl (0.469, 0.944, 0.873)
Cl (0.469, 0.556, 0.373)
Cl (0.531, 0.444, 0.627)
Cl (0.005, 0.299, 0.175)
Cl (0.995, 0.701, 0.825)
Cl (0.995, 0.799, 0.325)
Cl (0.005, 0.201, 0.675)
Cl (0.540, 0.087, 0.380)
Cl (0.460, 0.913, 0.620)
Cl (0.460, 0.587, 0.120)
Cl (0.540, 0.413, 0.880)

Output
**ΔH_f (0 K)**: -24.8 eV per formula unit
**SG**: P2_1/c, No. 14



Record 18
DFT (r2SCAN) results for crystalline TiPd at its relaxed geometry.

Unit cell a=4.570 b=2.775 c=4.876 alpha=90.00 beta=90.00 gamma=90.00
Fractional coordinates of all 4 atoms:
Ti (0.250, 0.000, 0.202)
Ti (0.750, 0.000, 0.798)
Pd (0.250, 0.500, 0.687)
Pd (0.750, 0.500, 0.313)

Output
**ΔH_f (0 K)**: -1.1 eV per formula unit
**SG**: Pmma, No. 51



Record 19
DFT (r2SCAN) results for crystalline K3AlTe3 at its relaxed geometry.

Unit cell a=14.039 b=8.678 c=11.173 alpha=52.62 beta=90.00 gamma=90.00
Fractional coordinates of all 28 atoms:
K (0.312, 0.148, 0.072)
K (0.688, 0.852, 0.928)
K (0.812, 0.852, 0.428)
K (0.896, 0.319, 0.403)
K (0.613, 0.361, 0.474)
K (0.113, 0.639, 0.026)
K (0.387, 0.639, 0.526)
K (0.887, 0.361, 0.974)
K (0.604, 0.319, 0.903)
K (0.104, 0.681, 0.597)
K (0.396, 0.681, 0.097)
K (0.188, 0.148, 0.572)
Al (0.066, 0.945, 0.159)
Al (0.566, 0.055, 0.341)
Al (0.434, 0.945, 0.659)
Al (0.934, 0.055, 0.841)
Te (0.397, 0.177, 0.362)
Te (0.897, 0.823, 0.138)
Te (0.603, 0.823, 0.638)
Te (0.103, 0.177, 0.862)
Te (0.693, 0.330, 0.195)
Te (0.193, 0.670, 0.305)
Te (0.307, 0.670, 0.805)
Te (0.807, 0.330, 0.695)
Te (0.555, 0.860, 0.235)
Te (0.055, 0.140, 0.265)
Te (0.445, 0.140, 0.765)
Te (0.945, 0.860, 0.735)

Output
**ΔH_f (0 K)**: -7.9 eV per formula unit
**SG**: P2_1/c, No. 14